Crystalline Na8Fe5O14 at its relaxed geometry, computed with GGA+U.

Calculated values
Total DFT energy (no corrections) in eV/atom: -5.346
Magnetization in μB/cell: 40.002
Space-group type: No. 2
ΔE_f in meV/atom: -1593.5

Cell: 8.408 8.645 10.574 Å, 103.94 102.39 112.84°
Sites, in units of the cell vectors:
1 Na 0.696 0.626 0.834
2 Na 0.823 0.336 0.827
3 Na 0.304 0.374 0.166
4 Na 0.627 0.988 0.893
5 Na 0.373 0.012 0.107
6 Na 0.447 0.673 0.016
7 Na 0.712 0.418 0.295
8 Na 0.000 0.000 0.000
9 Na 0.553 0.327 0.984
10 Na 0.177 0.664 0.173
11 Na 0.562 0.127 0.435
12 Na 0.438 0.873 0.565
13 Na 0.891 0.523 0.618
14 Na 0.109 0.477 0.382
15 Na 0.288 0.582 0.705
16 Na 0.500 0.500 0.500
17 Fe 0.372 0.224 0.651
18 Fe 0.964 0.172 0.529
19 Fe 0.036 0.828 0.471
20 Fe 0.179 0.110 0.333
21 Fe 0.142 0.270 0.839
22 Fe 0.821 0.890 0.667
23 Fe 0.628 0.776 0.349
24 Fe 0.786 0.071 0.217
25 Fe 0.214 0.929 0.783
26 Fe 0.858 0.730 0.161
27 O 0.976 0.652 0.298
28 O 0.103 0.898 0.176
29 O 0.897 0.102 0.824
30 O 0.781 0.706 0.485
31 O 0.682 0.171 0.118
32 O 0.373 0.397 0.812
33 O 0.754 0.856 0.065
34 O 0.170 0.442 0.987
35 O 0.564 0.912 0.241
36 O 0.318 0.829 0.882
37 O 0.041 0.198 0.227
38 O 0.436 0.088 0.759
39 O 0.725 0.985 0.531
40 O 0.850 0.259 0.406
41 O 0.606 0.766 0.692
42 O 0.921 0.955 0.349
43 O 0.219 0.294 0.515
44 O 0.602 0.356 0.648
45 O 0.275 0.015 0.469
46 O 0.079 0.045 0.651
47 O 0.398 0.644 0.352
48 O 0.150 0.741 0.594
49 O 0.024 0.348 0.702
50 O 0.246 0.144 0.935
51 O 0.959 0.802 0.773
52 O 0.394 0.234 0.308
53 O 0.830 0.558 0.013
54 O 0.627 0.603 0.188

***

Crystalline Fe3P4H12N2O16 at its relaxed geometry, computed with GGA+U.

Calculated values
Total DFT energy (no corrections) in eV/atom: -6.229
Magnetization in μB/cell: 24.002
Space-group type: No. 14
ΔE_f in meV/atom: -1746.2

Cell: 8.347 9.495 9.482 Å, 99.74 90.00 90.00°
Sites, in units of the cell vectors:
1 O 0.133 0.751 0.735
2 O 0.419 0.961 0.109
3 O 0.704 0.002 0.640
4 O 0.296 0.998 0.360
5 O 0.144 0.298 0.375
6 O 0.356 0.298 0.875
7 O 0.867 0.249 0.265
8 O 0.366 0.874 0.643
9 O 0.134 0.874 0.143
10 O 0.081 0.961 0.609
11 O 0.012 0.264 0.661
12 O 0.856 0.702 0.625
13 O 0.488 0.264 0.161
14 O 0.796 0.002 0.140
15 O 0.532 0.552 0.299
16 O 0.644 0.702 0.125
17 O 0.383 0.187 0.610
18 O 0.204 0.998 0.860
19 O 0.468 0.448 0.701
20 O 0.512 0.736 0.839
21 O 0.634 0.126 0.357
22 O 0.883 0.813 0.890
23 O 0.032 0.448 0.201
24 O 0.581 0.039 0.891
25 O 0.866 0.126 0.857
26 O 0.988 0.736 0.339
27 O 0.367 0.751 0.235
28 O 0.968 0.552 0.799
29 O 0.919 0.039 0.391
30 O 0.633 0.249 0.765
31 O 0.617 0.813 0.390
32 O 0.117 0.187 0.110
33 H 0.210 0.642 0.492
34 H 0.289 0.458 0.947
35 H 0.177 0.542 0.086
36 H 0.018 0.367 0.702
37 H 0.211 0.458 0.447
38 H 0.677 0.458 0.414
39 H 0.710 0.358 0.008
40 H 0.375 0.556 0.416
41 H 0.982 0.633 0.298
42 H 0.625 0.444 0.584
43 H 0.711 0.542 0.053
44 H 0.029 0.786 0.262
45 H 0.471 0.786 0.762
46 H 0.790 0.358 0.508
47 H 0.971 0.214 0.738
48 H 0.529 0.214 0.238
49 H 0.125 0.556 0.916
50 H 0.518 0.633 0.798
51 H 0.789 0.542 0.553
52 H 0.823 0.458 0.914
53 H 0.875 0.444 0.084
54 H 0.290 0.642 0.992
55 H 0.482 0.367 0.202
56 H 0.323 0.542 0.586
57 N 0.778 0.449 0.014
58 N 0.222 0.551 0.986
59 N 0.278 0.551 0.486
60 N 0.722 0.449 0.514
61 Fe 0.500 0.000 0.500
62 Fe 0.639 0.869 0.005
63 Fe 0.000 0.000 0.000
64 Fe 0.861 0.869 0.505
65 Fe 0.139 0.131 0.495
66 Fe 0.361 0.131 0.995
67 P 0.052 0.297 0.235
68 P 0.552 0.703 0.265
69 P 0.948 0.703 0.765
70 P 0.799 0.094 0.290
71 P 0.299 0.906 0.210
72 P 0.701 0.094 0.790
73 P 0.448 0.297 0.735
74 P 0.201 0.906 0.710

***

Crystalline NiH20S2N2O14 at its relaxed geometry, computed with GGA+U.

Calculated values
Total DFT energy (no corrections) in eV/atom: -5.257
Space-group type: No. 14
ΔE_f in meV/atom: -1264.6
Excess energy over the best structure of this formula in the dataset in meV/atom: 0.0

Cell: 12.501 6.309 9.190 Å, 72.92 90.00 90.00°
Sites, in units of the cell vectors:
1 H 0.168 0.803 0.565
2 H 0.297 0.604 0.229
3 H 0.203 0.604 0.729
4 H 0.426 0.629 0.168
5 H 0.088 0.679 0.216
6 H 0.058 0.334 0.096
7 H 0.797 0.396 0.271
8 H 0.122 0.907 0.249
9 H 0.356 0.321 0.473
10 H 0.671 0.463 0.931
11 H 0.685 0.001 0.638
12 H 0.403 0.059 0.233
13 H 0.912 0.321 0.784
14 H 0.074 0.629 0.668
15 H 0.412 0.679 0.716
16 H 0.574 0.371 0.832
17 H 0.315 0.999 0.362
18 H 0.597 0.941 0.767
19 H 0.832 0.197 0.435
20 H 0.878 0.093 0.751
21 H 0.097 0.059 0.733
22 H 0.185 0.999 0.862
23 H 0.622 0.093 0.251
24 H 0.558 0.666 0.404
25 H 0.903 0.941 0.267
26 H 0.442 0.334 0.596
27 H 0.703 0.396 0.771
28 H 0.378 0.907 0.749
29 H 0.815 0.001 0.138
30 H 0.856 0.679 0.027
31 H 0.644 0.679 0.527
32 H 0.942 0.666 0.904
33 H 0.332 0.803 0.065
34 H 0.668 0.197 0.935
35 H 0.171 0.537 0.569
36 H 0.926 0.371 0.332
37 H 0.144 0.321 0.973
38 H 0.329 0.537 0.069
39 H 0.829 0.463 0.431
40 H 0.588 0.321 0.284
41 O 0.391 0.836 0.668
42 O 0.934 0.701 0.002
43 O 0.609 0.164 0.332
44 O 0.073 0.212 0.551
45 O 0.728 0.590 0.084
46 O 0.611 0.036 0.661
47 O 0.677 0.949 0.117
48 O 0.177 0.051 0.383
49 O 0.272 0.410 0.916
50 O 0.934 0.619 0.722
51 O 0.566 0.701 0.502
52 O 0.434 0.299 0.498
53 O 0.927 0.788 0.449
54 O 0.427 0.212 0.051
55 O 0.066 0.299 0.998
56 O 0.323 0.051 0.883
57 O 0.772 0.590 0.584
58 O 0.573 0.788 0.949
59 O 0.891 0.164 0.832
60 O 0.066 0.381 0.278
61 O 0.823 0.949 0.617
62 O 0.434 0.381 0.778
63 O 0.228 0.410 0.416
64 O 0.109 0.836 0.168
65 O 0.389 0.964 0.339
66 O 0.889 0.036 0.161
67 O 0.566 0.619 0.222
68 O 0.111 0.964 0.839
69 N 0.346 0.643 0.134
70 N 0.654 0.357 0.866
71 N 0.154 0.643 0.634
72 N 0.846 0.357 0.366
73 S 0.364 0.261 0.909
74 S 0.136 0.261 0.409
75 S 0.864 0.739 0.591
76 S 0.636 0.739 0.091
77 Ni 0.000 0.000 0.000
78 Ni 0.500 0.000 0.500

***

Crystalline Li3Co2O5 at its relaxed geometry, computed with GGA+U.

Calculated values
Total DFT energy (no corrections) in eV/atom: -5.539
Magnetization in μB/cell: 1.999
Space-group type: No. 2
ΔE_f in meV/atom: -1741.8
Excess energy over the best structure of this formula in the dataset in meV/atom: 0.0

Cell: 4.951 5.026 7.563 Å, 71.80 72.19 79.82°
Sites, in units of the cell vectors:
1 O 0.653 0.786 0.933
2 O 0.772 0.225 0.242
3 O 0.573 0.236 0.660
4 O 0.127 0.217 0.455
5 O 0.427 0.764 0.340
6 O 0.873 0.783 0.545
7 O 0.228 0.775 0.758
8 O 0.964 0.219 0.842
9 O 0.347 0.214 0.067
10 O 0.036 0.781 0.158
11 Co 0.305 0.002 0.891
12 Co 0.099 0.998 0.306
13 Co 0.901 0.002 0.694
14 Co 0.695 0.998 0.109
15 Li 0.211 0.501 0.597
16 Li 0.000 0.500 0.000
17 Li 0.500 0.000 0.500
18 Li 0.398 0.493 0.205
19 Li 0.789 0.499 0.403
20 Li 0.602 0.507 0.795

***

Crystalline Li3Fe4B4O12 at its relaxed geometry, computed with GGA+U.

Calculated values
Total DFT energy (no corrections) in eV/atom: -7.019
Magnetization in μB/cell: 34.000
Space-group type: No. 1
ΔE_f in meV/atom: -2304.7
Excess energy over the best structure of this formula in the dataset in meV/atom: 0.6

Cell: 5.247 5.254 20.280 Å, 89.98 91.39 119.84°
Sites, in units of the cell vectors:
1 O 0.929 0.263 0.453
2 O 0.415 0.019 0.917
3 O 0.641 0.728 0.943
4 O 0.422 0.027 0.413
5 O 0.073 0.741 0.543
6 O 0.645 0.736 0.445
7 O 0.356 0.265 0.558
8 O 0.746 0.073 0.787
9 O 0.264 0.346 0.818
10 O 0.254 0.924 0.207
11 O 0.581 0.969 0.582
12 O 0.234 0.292 0.320
13 O 0.343 0.267 0.068
14 O 0.028 0.417 0.169
15 O 0.755 0.695 0.690
16 O 0.968 0.577 0.825
17 O 0.579 0.979 0.077
18 O 0.725 0.097 0.291
19 O 0.018 0.598 0.329
20 O 0.068 0.747 0.042
21 O 0.735 0.647 0.181
22 O 0.275 0.901 0.704
23 O 0.930 0.255 0.951
24 O 0.977 0.402 0.666
25 Fe 0.679 0.991 0.187
26 Fe 0.670 0.008 0.682
27 Fe 0.992 0.674 0.935
28 Fe 0.323 0.998 0.809
29 Fe 0.994 0.324 0.060
30 Fe 0.325 0.988 0.308
31 Fe 0.011 0.324 0.561
32 Fe 0.996 0.684 0.435
33 B 0.995 0.333 0.810
34 B 0.329 0.997 0.062
35 B 0.001 0.667 0.686
36 B 0.662 0.001 0.936
37 B 0.000 0.658 0.186
38 B 0.333 0.995 0.561
39 B 0.993 0.328 0.313
40 B 0.667 0.008 0.436
41 Li 0.659 0.662 0.546
42 Li 0.658 0.650 0.790
43 Li 0.325 0.343 0.919
44 Li 0.330 0.352 0.419
45 Li 0.657 0.668 0.048
46 Li 0.347 0.326 0.170

***

Crystalline MgTi3Fe2CoP6O24 at its relaxed geometry, computed with GGA+U.

Calculated values
Total DFT energy (no corrections) in eV/atom: -7.450
Magnetization in μB/cell: 9.396
Space-group type: No. 1
ΔE_f in meV/atom: -2641.3
Excess energy over the best structure of this formula in the dataset in meV/atom: 54.2

Cell: 8.679 8.761 8.741 Å, 59.92 60.05 60.03°
Sites, in units of the cell vectors:
1 O 0.089 0.306 0.493
2 O 0.278 0.406 0.563
3 O 0.274 0.754 0.406
4 O 0.732 0.234 0.593
5 O 0.276 0.564 0.755
6 O 0.804 0.259 0.042
7 O 0.438 0.193 0.376
8 O 0.731 0.444 0.234
9 O 0.437 0.378 0.997
10 O 0.436 0.994 0.190
11 O 0.807 0.040 0.897
12 O 0.087 0.111 0.303
13 O 0.250 0.735 0.931
14 O 0.587 0.605 0.986
15 O 0.250 0.084 0.733
16 O 0.939 0.888 0.661
17 O 0.586 0.824 0.604
18 O 0.803 0.896 0.259
19 O 0.089 0.495 0.114
20 O 0.247 0.932 0.083
21 O 0.587 0.987 0.823
22 O 0.726 0.592 0.447
23 O 0.939 0.513 0.889
24 O 0.937 0.659 0.514
25 P 0.263 0.945 0.245
26 P 0.266 0.246 0.542
27 P 0.763 0.747 0.454
28 P 0.265 0.544 0.947
29 P 0.766 0.034 0.747
30 P 0.765 0.453 0.035
31 Fe 0.498 0.501 0.502
32 Fe 0.025 0.991 0.990
33 Ti 0.906 0.366 0.365
34 Ti 0.453 0.849 0.848
35 Ti 0.072 0.643 0.643
36 Mg 0.627 0.126 0.124
37 Co 0.268 0.239 0.244

***

Crystalline KFeF4 at its relaxed geometry, computed with GGA+U.

Calculated values
Total DFT energy (no corrections) in eV/atom: -5.029
Space-group type: No. 63
ΔE_f in meV/atom: -2840.3

Cell: 6.503 6.503 7.756 Å, 90.00 90.00 144.21°
Sites, in units of the cell vectors:
1 F 0.850 0.150 0.553
2 F 0.040 0.960 0.750
3 F 0.500 0.500 0.500
4 F 0.150 0.850 0.447
5 F 0.500 0.500 0.000
6 F 0.850 0.150 0.947
7 F 0.150 0.850 0.053
8 F 0.960 0.040 0.250
9 Fe 0.000 0.000 0.500
10 Fe 0.000 0.000 0.000
11 K 0.271 0.729 0.750
12 K 0.729 0.271 0.250

***

Crystalline LiMnB2O5 at its relaxed geometry, computed with GGA+U.

Calculated values
Total DFT energy (no corrections) in eV/atom: -7.393
Magnetization in μB/cell: 16.002
Space-group type: No. 15
ΔE_f in meV/atom: -2496.4
Excess energy over the best structure of this formula in the dataset in meV/atom: 46.9

Cell: 7.198 7.198 9.507 Å, 73.52 73.52 96.56°
Sites, in units of the cell vectors:
1 Li 0.832 0.168 0.250
2 Li 0.608 0.392 0.750
3 Li 0.168 0.832 0.750
4 Li 0.392 0.608 0.250
5 O 0.406 0.834 0.831
6 O 0.582 0.716 0.013
7 O 0.275 0.066 0.552
8 O 0.934 0.725 0.948
9 O 0.194 0.172 0.254
10 O 0.834 0.406 0.331
11 O 0.352 0.761 0.397
12 O 0.725 0.934 0.448
13 O 0.418 0.284 0.987
14 O 0.066 0.275 0.052
15 O 0.716 0.582 0.513
16 O 0.806 0.828 0.746
17 O 0.594 0.166 0.169
18 O 0.172 0.194 0.754
19 O 0.761 0.352 0.897
20 O 0.239 0.648 0.103
21 O 0.828 0.806 0.246
22 O 0.648 0.239 0.603
23 O 0.166 0.594 0.669
24 O 0.284 0.418 0.487
25 B 0.227 0.243 0.097
26 B 0.243 0.227 0.597
27 B 0.596 0.265 0.023
28 B 0.265 0.596 0.523
29 B 0.773 0.757 0.903
30 B 0.757 0.773 0.403
31 B 0.735 0.404 0.477
32 B 0.404 0.735 0.977
33 Mn 0.639 0.954 0.652
34 Mn 0.954 0.639 0.152
35 Mn 0.046 0.361 0.848
36 Mn 0.361 0.046 0.348